(1)
An optimized crystal structure of CoHO2. Source: the Materials Project database, functional PBE+U.

```
CoHO2
1.0
3.038 0.000 0.000
-1.519 2.631 0.000
0.000 0.000 8.878
Co H O
2 2 4
Direct
0.000 0.000 0.000 Co
0.000 0.000 0.500 Co
0.333 0.667 0.250 H
0.667 0.333 0.750 H
0.333 0.667 0.114 O
0.333 0.667 0.386 O
0.667 0.333 0.614 O
0.667 0.333 0.886 O
```

## Properties
ΔH_f (0 K) in meV/atom: -1224
Size of the total moment in μB per atom: 0.00

***

(2)
An optimized crystal structure of Li2VOF3. Source: the Materials Project database, functional PBE+U.

```
Li2VOF3
1.0
5.066 0.000 0.000
-0.004 5.485 0.000
-0.004 -2.701 5.394
Li V O F
4 2 2 6
Direct
0.000 0.000 0.000 Li
0.001 0.437 0.718 Li
0.463 0.494 0.996 Li
0.465 0.931 0.721 Li
0.008 0.850 0.419 V
0.458 0.349 0.419 V
0.191 0.630 0.538 O
0.275 0.133 0.542 O
0.131 0.679 0.053 F
0.335 0.176 0.053 F
0.643 0.569 0.757 F
0.676 0.596 0.296 F
0.790 0.098 0.299 F
0.822 0.066 0.757 F
```

## Properties
Maximum piezoelectric response in C/m2: 2.32
ΔH_f (0 K) in meV/atom: -2967
E above lowest polymorph in meV per atom: 20
Size of the total moment in μB per atom: 0.29

***

(3)
An optimized crystal structure of LiFe2OF3. Source: the Materials Project database, functional PBE+U.

```
LiFe2OF3
1.0
-3.063 6.268 4.420
3.063 -6.268 4.420
3.063 6.268 -4.420
Li Fe O F
4 8 4 12
Direct
0.084 0.719 0.365 Li
0.129 0.000 0.129 Li
0.354 0.719 0.635 Li
0.871 0.000 0.871 Li
0.133 0.381 0.752 Fe
0.341 0.341 0.000 Fe
0.497 0.374 0.640 Fe
0.497 0.857 0.123 Fe
0.629 0.381 0.248 Fe
0.734 0.374 0.877 Fe
0.734 0.857 0.360 Fe
0.882 0.382 0.500 Fe
0.368 0.600 0.768 O
0.574 0.574 0.000 O
0.647 0.147 0.500 O
0.832 0.600 0.232 O
0.106 0.606 0.500 F
0.114 0.114 0.000 F
0.234 0.108 0.625 F
0.234 0.610 0.126 F
0.398 0.140 0.258 F
0.484 0.108 0.874 F
0.484 0.610 0.375 F
0.740 0.122 0.128 F
0.740 0.612 0.618 F
0.882 0.140 0.742 F
0.993 0.122 0.382 F
0.993 0.612 0.872 F
```

## Properties
ΔH_f (0 K) in meV/atom: -2392
E above lowest polymorph in meV per atom: 12
Size of the total moment in μB per atom: 1.14

***

(4)
An optimized crystal structure of Ba3NiSb2O9. Source: the Materials Project database, functional PBE+U.

```
Ba3NiSb2O9
1.0
-2.837 2.478 4.568
10.510 11.279 -3.427
-4.338 6.768 -6.366
Ba Ni Sb O
12 4 8 36
Direct
0.875 0.750 0.125 Ba
0.375 0.750 0.625 Ba
0.625 0.250 0.375 Ba
0.125 0.250 0.875 Ba
0.793 0.587 0.873 Ba
0.293 0.587 0.373 Ba
0.043 0.087 0.290 Ba
0.543 0.087 0.790 Ba
0.207 0.413 0.127 Ba
0.707 0.413 0.627 Ba
0.957 0.913 0.710 Ba
0.457 0.913 0.210 Ba
0.500 0.000 0.500 Ni
0.750 0.500 0.250 Ni
0.000 0.000 0.000 Ni
0.250 0.500 0.750 Ni
0.326 0.652 0.008 Sb
0.826 0.652 0.507 Sb
0.576 0.152 0.091 Sb
0.076 0.152 0.591 Sb
0.424 0.848 0.909 Sb
0.924 0.848 0.409 Sb
0.674 0.348 0.992 Sb
0.174 0.348 0.492 Sb
0.625 0.250 0.893 O
0.125 0.250 0.393 O
0.152 0.750 0.884 O
0.652 0.750 0.384 O
0.598 0.750 0.884 O
0.098 0.750 0.384 O
0.402 0.250 0.116 O
0.902 0.250 0.616 O
0.848 0.250 0.116 O
0.348 0.250 0.616 O
0.375 0.750 0.107 O
0.875 0.750 0.607 O
0.295 0.084 0.042 O
0.795 0.084 0.542 O
0.542 0.084 0.289 O
0.042 0.084 0.789 O
0.789 0.084 0.042 O
0.289 0.084 0.542 O
0.045 0.584 0.124 O
0.545 0.584 0.624 O
0.458 0.916 0.711 O
0.958 0.916 0.211 O
0.539 0.584 0.124 O
0.039 0.584 0.624 O
0.292 0.584 0.877 O
0.792 0.584 0.377 O
0.461 0.416 0.876 O
0.961 0.416 0.376 O
0.955 0.416 0.876 O
0.455 0.416 0.376 O
0.211 0.916 0.958 O
0.711 0.916 0.458 O
0.705 0.916 0.958 O
0.205 0.916 0.458 O
0.708 0.416 0.123 O
0.208 0.416 0.623 O
```

## Properties
ΔH_f (0 K) in meV/atom: -2425
E above lowest polymorph in meV per atom: 0
Size of the total moment in μB per atom: 0.00

***

(5)
An optimized crystal structure of Li5Ni4O8. Source: the Materials Project database, functional PBE+U.

```
Li5Ni4O8
1.0
5.744 0.000 0.000
-2.857 5.245 0.000
-0.004 -0.004 9.627
Li Ni O
10 8 16
Direct
0.000 0.000 0.000 Li
0.019 0.604 0.987 Li
0.138 0.845 0.224 Li
0.199 0.393 0.499 Li
0.434 0.995 0.001 Li
0.492 0.552 0.724 Li
0.612 0.790 0.485 Li
0.632 0.397 0.500 Li
0.799 0.171 0.427 Li
0.826 0.225 0.927 Li
0.144 0.350 0.228 Ni
0.151 0.868 0.475 Ni
0.483 0.534 0.975 Ni
0.486 0.046 0.728 Ni
0.635 0.839 0.229 Ni
0.638 0.351 0.228 Ni
0.992 0.047 0.728 Ni
0.994 0.555 0.728 Ni
0.165 0.389 0.853 O
0.165 0.887 0.841 O
0.309 0.716 0.598 O
0.315 0.673 0.099 O
0.316 0.184 0.609 O
0.327 0.215 0.109 O
0.461 0.006 0.355 O
0.474 0.504 0.342 O
0.655 0.899 0.846 O
0.658 0.395 0.853 O
0.793 0.679 0.096 O
0.802 0.188 0.122 O
0.817 0.216 0.623 O
0.843 0.722 0.599 O
0.961 0.496 0.344 O
0.979 0.011 0.356 O
```

## Properties
ΔH_f (0 K) in meV/atom: -1503
E above lowest polymorph in meV per atom: 0
Size of the total moment in μB per atom: 0.29

***

(6)
An optimized crystal structure of Li4Ti3Mn3Ni2O16. Source: the Materials Project database, functional PBE+U.

```
Li4Ti3Mn3Ni2O16
1.0
5.065 -2.933 0.000
5.065 2.933 0.000
-0.024 0.000 9.645
Li Ti Mn Ni O
4 3 3 2 16
Direct
0.000 0.000 0.000 Li
0.000 0.000 0.498 Li
0.340 0.340 0.610 Li
0.673 0.673 0.112 Li
0.174 0.174 0.284 Ti
0.342 0.836 0.783 Ti
0.836 0.342 0.783 Ti
0.172 0.667 0.283 Mn
0.667 0.172 0.283 Mn
0.835 0.835 0.783 Mn
0.337 0.337 0.010 Ni
0.670 0.670 0.507 Ni
0.000 0.000 0.185 O
0.000 0.000 0.684 O
0.040 0.489 0.167 O
0.161 0.685 0.890 O
0.164 0.164 0.892 O
0.322 0.844 0.391 O
0.341 0.341 0.392 O
0.486 0.486 0.168 O
0.489 0.040 0.167 O
0.522 0.522 0.667 O
0.525 0.969 0.665 O
0.673 0.673 0.894 O
0.685 0.161 0.890 O
0.844 0.322 0.391 O
0.844 0.844 0.389 O
0.969 0.525 0.665 O
```

## Properties
ΔH_f (0 K) in meV/atom: -2396
Size of the total moment in μB per atom: 0.46

***

(7)
An optimized crystal structure of Ca2CuWO6. Source: the Materials Project database, functional PBE+U.

```
Ca2CuWO6
1.0
5.559 0.000 0.000
0.114 5.561 0.000
2.763 2.706 4.066
Ca Cu W O
2 1 1 6
Direct
0.000 0.000 0.000 Ca
0.495 0.510 0.997 Ca
0.198 0.705 0.547 Cu
0.689 0.196 0.559 W
0.419 0.422 0.578 O
0.427 0.926 0.596 O
0.436 0.941 0.043 O
0.902 0.412 0.090 O
0.913 0.432 0.579 O
0.925 0.937 0.575 O
```

## Properties
ΔH_f (0 K) in meV/atom: -2367
E above lowest polymorph in meV per atom: 115
Size of the total moment in μB per atom: 0.10

***

(8)
An optimized crystal structure of Dy2WO6. Source: the Materials Project database, functional PBE+U.

```
Dy2WO6
1.0
5.283 0.000 0.000
0.000 9.151 0.000
0.000 0.000 10.002
Dy W O
8 4 24
Direct
0.020 0.103 0.465 Dy
0.038 0.219 0.872 Dy
0.462 0.781 0.372 Dy
0.480 0.897 0.965 Dy
0.520 0.397 0.535 Dy
0.538 0.281 0.128 Dy
0.962 0.719 0.628 Dy
0.980 0.603 0.035 Dy
0.039 0.495 0.348 W
0.461 0.505 0.848 W
0.539 0.005 0.652 W
0.961 0.995 0.152 W
0.086 0.843 0.030 O
0.176 0.953 0.298 O
0.180 0.638 0.819 O
0.193 0.641 0.236 O
0.231 0.115 0.067 O
0.249 0.590 0.494 O
0.251 0.410 0.994 O
0.269 0.885 0.567 O
0.307 0.359 0.736 O
0.320 0.362 0.319 O
0.324 0.047 0.798 O
0.414 0.157 0.530 O
0.586 0.657 0.970 O
0.676 0.547 0.702 O
0.680 0.862 0.181 O
0.693 0.859 0.764 O
0.731 0.385 0.933 O
0.749 0.910 0.506 O
0.751 0.090 0.006 O
0.769 0.615 0.433 O
0.807 0.141 0.264 O
0.820 0.138 0.681 O
0.824 0.453 0.202 O
0.914 0.343 0.470 O
```

## Properties
ΔH_f (0 K) in meV/atom: -3311
E above lowest polymorph in meV per atom: 3

***

(9)
An optimized crystal structure of MnH12C8S2N2O2. Source: the Materials Project database, functional PBE+U.

```
MnH12C8S2N2O2
1.0
5.914 0.000 0.000
-0.922 8.200 0.000
-1.222 -2.819 7.846
Mn H C S N O
1 12 8 2 2 2
Direct
0.000 0.000 0.000 Mn
0.028 0.504 0.738 H
0.112 0.669 0.447 H
0.177 0.327 0.653 H
0.372 0.580 0.178 H
0.398 0.766 0.108 H
0.449 0.791 0.330 H
0.551 0.209 0.670 H
0.602 0.234 0.892 H
0.628 0.420 0.822 H
0.823 0.673 0.347 H
0.888 0.331 0.553 H
0.972 0.496 0.262 H
0.008 0.362 0.675 C
0.094 0.725 0.215 C
0.343 0.715 0.204 C
0.412 0.843 0.808 C
0.588 0.157 0.192 C
0.657 0.285 0.796 C
0.906 0.275 0.785 C
0.992 0.638 0.325 C
0.354 0.212 0.259 S
0.646 0.788 0.741 S
0.239 0.880 0.855 N
0.761 0.120 0.145 N
0.025 0.198 0.862 O
0.975 0.802 0.138 O
```

## Properties
ΔH_f (0 K) in meV/atom: -339
Size of the total moment in μB per atom: 0.19

***

(10)
An optimized crystal structure of Li2V3O6. Source: the Materials Project database, functional PBE+U.

```
Li2V3O6
1.0
-0.340 3.501 -3.690
-5.933 1.239 2.961
3.415 4.916 3.110
Li V O
4 6 12
Direct
0.000 0.668 0.668 Li
0.500 0.168 0.168 Li
0.000 0.332 0.332 Li
0.500 0.832 0.832 Li
0.250 0.747 0.247 V
0.250 0.089 0.589 V
0.750 0.914 0.414 V
0.750 0.247 0.747 V
0.750 0.589 0.089 V
0.250 0.414 0.914 V
0.382 0.143 0.864 O
0.882 0.643 0.364 O
0.618 0.864 0.143 O
0.118 0.364 0.643 O
0.892 0.316 0.027 O
0.392 0.816 0.527 O
0.369 0.464 0.186 O
0.868 0.964 0.686 O
0.608 0.527 0.816 O
0.108 0.027 0.316 O
0.131 0.686 0.964 O
0.632 0.186 0.464 O
```

## Properties
ΔH_f (0 K) in meV/atom: -2460
E above lowest polymorph in meV per atom: 10
Size of the total moment in μB per atom: 0.00

***

(11)
An optimized crystal structure of CaSmCr4O12. Source: the Materials Project database, functional PBE+U.

```
CaSmCr4O12
1.0
7.426 0.000 0.000
0.000 3.718 3.799
0.000 -3.718 3.799
Ca Sm Cr O
1 1 4 12
Direct
0.000 0.000 0.000 Ca
0.500 0.480 0.480 Sm
0.246 0.497 0.998 Cr
0.246 0.998 0.497 Cr
0.754 0.497 0.998 Cr
0.754 0.998 0.497 Cr
0.000 0.008 0.437 O
0.000 0.437 0.008 O
0.212 0.768 0.768 O
0.254 0.265 0.695 O
0.254 0.695 0.265 O
0.291 0.207 0.207 O
0.500 0.519 0.932 O
0.500 0.932 0.519 O
0.709 0.207 0.207 O
0.746 0.265 0.695 O
0.746 0.695 0.265 O
0.788 0.768 0.768 O
```

## Properties
ΔH_f (0 K) in meV/atom: -2120
Size of the total moment in μB per atom: 0.28

***

(12)
An optimized crystal structure of LiCoP4O12. Source: the Materials Project database, functional PBE+U.

```
LiCoP4O12
1.0
5.200 0.000 0.000
0.000 13.691 0.000
-0.916 0.000 7.049
Li Co P O
2 2 8 24
Direct
0.122 0.000 0.137 Li
0.878 0.500 0.863 Li
0.017 0.230 0.506 Co
0.983 0.730 0.494 Co
0.278 0.815 0.886 P
0.360 0.163 0.897 P
0.471 0.591 0.459 P
0.497 0.870 0.537 P
0.503 0.370 0.463 P
0.529 0.091 0.541 P
0.640 0.663 0.103 P
0.722 0.315 0.114 P
0.106 0.746 0.760 O
0.127 0.204 0.770 O
0.152 0.893 0.985 O
0.198 0.600 0.507 O
0.230 0.357 0.507 O
0.283 0.811 0.430 O
0.313 0.103 0.061 O
0.326 0.159 0.443 O
0.417 0.983 0.491 O
0.455 0.754 0.044 O
0.466 0.599 0.232 O
0.491 0.861 0.763 O
0.509 0.361 0.237 O
0.534 0.099 0.768 O
0.545 0.254 0.956 O
0.583 0.483 0.509 O
0.674 0.659 0.557 O
0.687 0.603 0.939 O
0.717 0.311 0.570 O
0.770 0.857 0.493 O
0.802 0.100 0.493 O
0.848 0.393 0.015 O
0.873 0.704 0.230 O
0.894 0.246 0.240 O
```

## Properties
ΔH_f (0 K) in meV/atom: -2386
E above lowest polymorph in meV per atom: 45
Size of the total moment in μB per atom: 0.00